[1]
SnH6CBr3N: relaxed, PBE. Values from VASP.

The structure in Quantum ESPRESSO input format:
```
&SYSTEM
  ibrav = 0, nat = 48, ntyp = 5
/
ATOMIC_SPECIES
Sn 118.71 Sn.upf
H 1.01 H.upf
C 12.01 C.upf
Br 79.90 Br.upf
N 14.01 N.upf
ATOMIC_POSITIONS crystal
Sn 0.5000 0.0000 0.5000
Sn 0.0000 0.0000 0.0000
Sn 0.5000 0.5000 0.5000
Sn 0.0000 0.5000 0.0000
H 0.5096 0.3185 0.1499
H 0.4904 0.6815 0.8501
H 0.9904 0.6815 0.6499
H 0.0096 0.3185 0.3501
H 0.4904 0.8185 0.8501
H 0.5096 0.1815 0.1499
H 0.0096 0.1815 0.3501
H 0.9904 0.8185 0.6499
H 0.3388 0.2500 0.0864
H 0.6612 0.7500 0.9136
H 0.1612 0.7500 0.5864
H 0.8388 0.2500 0.4136
H 0.4942 0.3234 0.8699
H 0.5058 0.6766 0.1301
H 0.0058 0.6766 0.3699
H 0.9942 0.3234 0.6301
H 0.5058 0.8234 0.1301
H 0.4942 0.1766 0.8699
H 0.9942 0.1766 0.6301
H 0.0058 0.8234 0.3699
H 0.6755 0.2500 0.9360
H 0.3245 0.7500 0.0640
H 0.8245 0.7500 0.4360
H 0.1755 0.2500 0.5640
C 0.5386 0.2500 0.9294
C 0.4614 0.7500 0.0706
C 0.9614 0.7500 0.4294
C 0.0386 0.2500 0.5706
Br 0.5563 0.2500 0.5009
Br 0.4437 0.7500 0.4991
Br 0.9437 0.7500 0.0009
Br 0.0563 0.2500 0.9991
Br 0.7981 0.9781 0.7079
Br 0.2019 0.0219 0.2921
Br 0.7019 0.0219 0.2079
Br 0.2981 0.9781 0.7921
Br 0.2019 0.4781 0.2921
Br 0.7981 0.5219 0.7079
Br 0.2981 0.5219 0.7921
Br 0.7019 0.4781 0.2079
N 0.4694 0.2500 0.0897
N 0.5306 0.7500 0.9103
N 0.0306 0.7500 0.5897
N 0.9694 0.2500 0.4103
CELL_PARAMETERS angstrom
-1.6416 -4.4965 6.3851
-2.5044 -9.4726 -7.3146
8.2779 -2.4821 0.3802
```

***

[2]
KHf2BiO6: relaxed, PBE. Values from VASP.

The structure in Quantum ESPRESSO input format:
```
&SYSTEM
  ibrav = 0, nat = 10, ntyp = 4
/
ATOMIC_SPECIES
K 39.10 K.upf
Hf 178.49 Hf.upf
Bi 208.98 Bi.upf
O 16.00 O.upf
ATOMIC_POSITIONS crystal
K 0.5000 0.5000 0.5000
Hf 0.2500 0.2500 0.2500
Hf 0.7500 0.7500 0.7500
Bi 0.0000 0.0000 0.0000
O 0.0000 0.0000 0.5000
O 0.5000 0.5000 0.0000
O 0.0000 0.5000 0.5000
O 0.5000 0.0000 0.0000
O 0.0000 0.5000 0.0000
O 0.5000 0.0000 0.5000
CELL_PARAMETERS angstrom
-5.5454 1.5716 -0.9555
-4.2357 -4.0227 0.1045
-3.8541 -0.0705 4.3903
```

***

[3]
KNaH2: relaxed, PBE. Values from VASP.

The structure in Quantum ESPRESSO input format:
```
&SYSTEM
  ibrav = 0, nat = 4, ntyp = 3
/
ATOMIC_SPECIES
K 39.10 K.upf
Na 22.99 Na.upf
H 1.01 H.upf
ATOMIC_POSITIONS crystal
K 0.5000 0.5000 0.0000
Na 0.0000 0.0000 0.5000
H 0.0000 0.0000 0.0000
H 0.5000 0.5000 0.5000
CELL_PARAMETERS angstrom
-1.5108 -2.8988 1.9046
-1.8921 -1.0523 -3.1025
4.1013 -3.0919 -1.4526
```

***

[4]
KUSiO7: relaxed, PBE. Values from VASP.

The structure in Quantum ESPRESSO input format:
```
&SYSTEM
  ibrav = 0, nat = 20, ntyp = 4
/
ATOMIC_SPECIES
K 39.10 K.upf
U 238.03 U.upf
Si 28.09 Si.upf
O 16.00 O.upf
ATOMIC_POSITIONS crystal
K 0.0529 0.7788 0.5596
K 0.5529 0.2212 0.4404
U 0.7427 0.8649 0.0234
U 0.2427 0.1351 0.9766
Si 0.7412 0.3522 0.9280
Si 0.2412 0.6478 0.0720
O 0.7578 0.8443 0.2890
O 0.2578 0.1557 0.7110
O 0.2338 0.0876 0.2458
O 0.7338 0.9124 0.7542
O 0.4227 0.8049 0.0421
O 0.9227 0.1951 0.9579
O 0.5676 0.1861 0.9958
O 0.0676 0.8139 0.0042
O 0.7552 0.5169 0.0646
O 0.2552 0.4831 0.9354
O 0.2209 0.5241 0.3069
O 0.7209 0.4759 0.6931
O 0.9662 0.3937 0.3333
O 0.4662 0.6063 0.6667
CELL_PARAMETERS angstrom
7.0347 0.0000 0.0000
0.0000 6.7649 0.0000
0.0000 1.7241 6.7915
```

***

Record-wise calculated total energy values, in eV/atom: -4.3920 -8.0080 -2.4360 -7.3139
Record-wise total moment values, in Bohr magnetons per cell: 0.000 0.000 0.000 2.001